Version i
# Cs3TlO3, relaxed, DFT PBE
# - Crystal system: monoclinic
# - Calculated density: 5.68 Mg/m³
# - Space group: P2_1/c (14)
data_Cs3TlO3
_chemical_formula_sum 'Cs12 Tl4 O12'
_cell_length_a 8.3580
_cell_length_b 7.4938
_cell_length_c 12.1913
_cell_angle_alpha 90.00
_cell_angle_beta 94.88
_cell_angle_gamma 90.00
_symmetry_space_group_name_H-M 'P 1'
_symmetry_Int_Tables_number 1
loop_
_symmetry_equiv_pos_as_xyz
'x,y,z'
loop_
_atom_site_label
_atom_site_fract_x
_atom_site_fract_y
_atom_site_fract_z
Cs1 0.0557 0.1278 0.1552
Cs2 0.0557 0.3722 0.6552
Cs3 0.3544 0.1798 0.9255
Cs4 0.3544 0.3202 0.4255
Cs5 0.3702 0.6931 0.8083
Cs6 0.3702 0.8069 0.3083
Cs7 0.6298 0.1931 0.6917
Cs8 0.6298 0.3069 0.1917
Cs9 0.6456 0.6798 0.5745
Cs10 0.6456 0.8202 0.0745
Cs11 0.9443 0.6278 0.3448
Cs12 0.9443 0.8722 0.8448
Tl1 0.1621 0.5901 0.0675
Tl2 0.1621 0.9099 0.5675
Tl3 0.8379 0.0901 0.4325
Tl4 0.8379 0.4099 0.9325
O1 0.1008 0.0421 0.4010
O2 0.1008 0.4579 0.9010
O3 0.2537 0.6453 0.5371
O4 0.2537 0.8547 0.0371
O5 0.3047 0.0629 0.6909
O6 0.3047 0.4371 0.1909
O7 0.6953 0.5629 0.8091
O8 0.6953 0.9371 0.3091
O9 0.7463 0.1453 0.9629
O10 0.7463 0.3547 0.4629
O11 0.8992 0.5421 0.0990
O12 0.8992 0.9579 0.5990

---

Version ii
# Cs3TlO3, relaxed, DFT PBE
# - Crystal system: monoclinic
# - Calculated density: 5.66 Mg/m³
# - Space group: C2/m (12)
data_Cs3TlO3
_chemical_formula_sum 'Cs6 Tl2 O6'
_cell_length_a 7.5464
_cell_length_b 7.5464
_cell_length_c 7.5344
_cell_angle_alpha 96.36
_cell_angle_beta 96.36
_cell_angle_gamma 114.58
_symmetry_space_group_name_H-M 'P 1'
_symmetry_Int_Tables_number 1
loop_
_symmetry_equiv_pos_as_xyz
'x,y,z'
loop_
_atom_site_label
_atom_site_fract_x
_atom_site_fract_y
_atom_site_fract_z
Cs1 0.1963 0.8037 0.0000
Cs2 0.2568 0.7432 0.5000
Cs3 0.3667 0.3667 0.1563
Cs4 0.6333 0.6333 0.8437
Cs5 0.7432 0.2568 0.5000
Cs6 0.8037 0.1963 0.0000
Tl1 0.1789 0.1789 0.6506
Tl2 0.8211 0.8211 0.3494
O1 0.0977 0.0977 0.3434
O2 0.1607 0.4456 0.7731
O3 0.4456 0.1607 0.7731
O4 0.5544 0.8393 0.2269
O5 0.8393 0.5544 0.2269
O6 0.9023 0.9023 0.6566

---

Bottom line: version i, by a margin of 1.0 kJ/mol of atoms.

---

Version i
# CsU2O6, relaxed, DFT PBE
# - Crystal system: cubic
# - Calculated density: 6.58 Mg/m³
# - Total magnetization: 1.00 μB per formula unit
# - Space group: Fd-3m (227)
data_CsU2O6
_chemical_formula_sum 'Cs2 U4 O12'
_cell_length_a 7.9533
_cell_length_b 7.9533
_cell_length_c 7.9533
_cell_angle_alpha 60.00
_cell_angle_beta 60.00
_cell_angle_gamma 60.00
_symmetry_space_group_name_H-M 'P 1'
_symmetry_Int_Tables_number 1
loop_
_symmetry_equiv_pos_as_xyz
'x,y,z'
loop_
_atom_site_label
_atom_site_fract_x
_atom_site_fract_y
_atom_site_fract_z
Cs1 0.1250 0.1250 0.1250
Cs2 0.8750 0.8750 0.8750
U1 0.0000 0.5000 0.5000
U2 0.5000 0.0000 0.5000
U3 0.5000 0.5000 0.0000
U4 0.5000 0.5000 0.5000
O1 0.1846 0.1846 0.5654
O2 0.1846 0.5654 0.1846
O3 0.1846 0.5654 0.5654
O4 0.4346 0.4346 0.8154
O5 0.4346 0.8154 0.4346
O6 0.4346 0.8154 0.8154
O7 0.5654 0.1846 0.1846
O8 0.5654 0.1846 0.5654
O9 0.5654 0.5654 0.1846
O10 0.8154 0.4346 0.4346
O11 0.8154 0.4346 0.8154
O12 0.8154 0.8154 0.4346

---

Version ii
# CsU2O6, relaxed, DFT PBE
# - Crystal system: trigonal
# - Calculated density: 6.94 Mg/m³
# - Total magnetization: 0.97 μB per formula unit
# - Space group: R-3 (148)
data_CsU2O6
_chemical_formula_sum 'Cs8 U16 O48'
_cell_length_a 11.0488
_cell_length_b 11.0488
_cell_length_c 11.0488
_cell_angle_alpha 89.37
_cell_angle_beta 89.37
_cell_angle_gamma 89.37
_symmetry_space_group_name_H-M 'P 1'
_symmetry_Int_Tables_number 1
loop_
_symmetry_equiv_pos_as_xyz
'x,y,z'
loop_
_atom_site_label
_atom_site_fract_x
_atom_site_fract_y
_atom_site_fract_z
Cs1 0.1251 0.6134 0.6264
Cs2 0.1453 0.1453 0.1453
Cs3 0.3736 0.8749 0.3866
Cs4 0.3866 0.3736 0.8749
Cs5 0.6134 0.6264 0.1251
Cs6 0.6264 0.1251 0.6134
Cs7 0.8547 0.8547 0.8547
Cs8 0.8749 0.3866 0.3736
U1 0.0000 0.0000 0.5000
U2 0.0000 0.5000 0.0000
U3 0.0028 0.7846 0.2542
U4 0.2154 0.7458 0.9972
U5 0.2381 0.5064 0.2590
U6 0.2542 0.0028 0.7846
U7 0.2590 0.2381 0.5064
U8 0.4936 0.7410 0.7619
U9 0.5000 0.0000 0.0000
U10 0.5000 0.5000 0.5000
U11 0.5064 0.2590 0.2381
U12 0.7410 0.7619 0.4936
U13 0.7458 0.9972 0.2154
U14 0.7619 0.4936 0.7410
U15 0.7846 0.2542 0.0028
U16 0.9972 0.2154 0.7458
O1 0.0201 0.6780 0.0820
O2 0.0820 0.0201 0.6780
O3 0.0818 0.8503 0.4400
O4 0.1081 0.4297 0.1464
O5 0.1153 0.6245 0.3232
O6 0.1289 0.2990 0.6590
O7 0.1339 0.8647 0.1682
O8 0.1353 0.8318 0.8661
O9 0.1464 0.1081 0.4297
O10 0.1497 0.5600 0.9182
O11 0.1682 0.1339 0.8647
O12 0.1852 0.3667 0.3962
O13 0.2990 0.6590 0.1289
O14 0.3220 0.9180 0.9799
O15 0.3232 0.1153 0.6245
O16 0.3410 0.8711 0.7010
O17 0.3641 0.5712 0.3838
O18 0.3667 0.3962 0.1852
O19 0.3755 0.6768 0.8847
O20 0.3838 0.3641 0.5712
O21 0.3962 0.1852 0.3667
O22 0.4288 0.6162 0.6359
O23 0.4297 0.1464 0.1081
O24 0.4400 0.0818 0.8503
O25 0.5600 0.9182 0.1497
O26 0.5703 0.8536 0.8919
O27 0.5712 0.3838 0.3641
O28 0.6038 0.8148 0.6333
O29 0.6162 0.6359 0.4288
O30 0.6245 0.3232 0.1153
O31 0.6333 0.6038 0.8148
O32 0.6359 0.4288 0.6162
O33 0.6590 0.1289 0.2990
O34 0.6768 0.8847 0.3755
O35 0.6780 0.0820 0.0201
O36 0.7010 0.3410 0.8711
O37 0.8148 0.6333 0.6038
O38 0.8318 0.8661 0.1353
O39 0.8503 0.4400 0.0818
O40 0.8536 0.8919 0.5703
O41 0.8647 0.1682 0.1339
O42 0.8661 0.1353 0.8318
O43 0.8711 0.7010 0.3410
O44 0.8847 0.3755 0.6768
O45 0.8919 0.5703 0.8536
O46 0.9182 0.1497 0.5600
O47 0.9180 0.9799 0.3220
O48 0.9799 0.3220 0.9180

---

Bottom line: version i, by a margin of 1.4 kJ/mol of atoms.

---

Version i
# Dy2In3Cu, relaxed, DFT PBE
# - Crystal system: trigonal
# - Calculated density: 8.48 Mg/m³
# - Total magnetization: 0.00 μB per formula unit
# - Space group: P3m1 (156)
data_Dy2In3Cu
_chemical_formula_sum 'Dy2 In3 Cu1'
_cell_length_a 4.7164
_cell_length_b 4.7164
_cell_length_c 7.4504
_cell_angle_alpha 90.00
_cell_angle_beta 90.00
_cell_angle_gamma 120.00
_symmetry_space_group_name_H-M 'P 1'
_symmetry_Int_Tables_number 1
loop_
_symmetry_equiv_pos_as_xyz
'x,y,z'
loop_
_atom_site_label
_atom_site_fract_x
_atom_site_fract_y
_atom_site_fract_z
Dy1 0.0000 0.0000 0.0000
Dy2 0.0000 0.0000 0.4601
In1 0.3333 0.6667 0.2394
In2 0.3333 0.6667 0.6707
In3 0.6667 0.3333 0.7900
Cu1 0.6667 0.3333 0.1775

---

Version ii
# Dy2In3Cu, relaxed, DFT PBE
# - Crystal system: orthorhombic
# - Calculated density: 7.20 Mg/m³
# - Total magnetization: 0.00 μB per formula unit
# - Space group: Pmm2 (25)
data_Dy2In3Cu
_chemical_formula_sum 'Dy2 In3 Cu1'
_cell_length_a 3.3834
_cell_length_b 5.3356
_cell_length_c 9.3601
_cell_angle_alpha 90.00
_cell_angle_beta 90.00
_cell_angle_gamma 90.00
_symmetry_space_group_name_H-M 'P 1'
_symmetry_Int_Tables_number 1
loop_
_symmetry_equiv_pos_as_xyz
'x,y,z'
loop_
_atom_site_label
_atom_site_fract_x
_atom_site_fract_y
_atom_site_fract_z
Dy1 0.0000 0.0000 0.0000
Dy2 0.0000 0.5000 0.4732
In1 0.0000 0.0000 0.6427
In2 0.0000 0.5000 0.1577
In3 0.0000 0.5000 0.8141
Cu1 0.0000 0.0000 0.3165

---

Bottom line: version i, by a margin of 57.8 kJ/mol of atoms.